# 1
VASP calculation (PBE) on a relaxed structure of Na14Ca4Zn4Si3S9O48.

Calculated values
Its calculated volume is 13.95 A^3/atom. As for the formation energy from the elements: -2320 meV per atom. The calculation puts the total magnetic moment at 0.0 μB/f.u.

a = 18.6310 Å, b = 9.3231 Å, c = 22.8557 Å
α = 89.94°, β = 89.69°, γ = 120.15°
Positions (direct):
O 0.0732 0.6561 0.0843
O 0.4892 0.1985 0.3091
S 0.1460 0.9982 0.2524
Na 0.1812 0.3653 0.2603
O 0.5974 0.1797 0.8098
O 0.2840 0.7034 0.9771
O 0.1827 0.4849 0.0795
O 0.1747 0.8838 0.8634
Zn 0.1737 0.6390 0.8202
O 0.2412 0.1353 0.9201
O 0.2652 0.6746 0.2526
O 0.6745 0.4661 0.3607
Na 0.8383 0.0333 0.9120
Ca 0.6650 0.6673 0.0127
O 0.0666 0.4761 0.5816
Na 0.3510 0.0128 0.9151
O 0.4217 0.5270 0.7478
O 0.1498 0.4373 0.4733
S 0.6879 0.0433 0.5808
O 0.8297 0.5327 0.6297
O 0.0137 0.8040 0.7038
O 0.3963 0.0131 0.8045
O 0.3206 0.5254 0.6352
O 0.4318 0.5399 0.0316
O 0.4053 0.7967 0.5858
Na 0.6727 0.0317 0.4096
O 0.1906 0.4680 0.3580
Na 0.6763 0.0090 0.7636
Si 0.1711 0.3551 0.4176
S 0.1647 0.9673 0.9153
Na 0.1856 0.0163 0.7527
O 0.5810 0.4681 0.2599
S 0.1861 0.0374 0.5829
O 0.6550 0.8697 0.9791
O 0.3258 0.1209 0.1322
S 0.6641 0.3633 0.4133
Si 0.6473 0.2982 0.7526
O 0.2587 0.8488 0.7576
O 0.0556 0.4648 0.8590
O 0.2294 0.1535 0.2503
O 0.9026 0.0108 0.8035
O 0.7879 0.6971 0.9730
O 0.7574 0.6401 0.5768
O 0.5951 0.9645 0.1910
Na 0.6639 0.2849 0.9061
O 0.4274 0.3367 0.6425
O 0.4824 0.1593 0.5801
O 0.4322 0.5206 0.4166
O 0.6832 0.8802 0.5769
Na 0.4888 0.6907 0.9142
O 0.8381 0.1283 0.0302
O 0.4313 0.3336 0.2525
O 0.4853 0.7718 0.8055
O 0.9075 0.8009 0.5794
O 0.2355 0.3482 0.1377
Na 0.1390 0.9429 0.0803
Na 0.1687 0.0437 0.4202
S 0.8316 0.0347 0.0839
Na 0.9862 0.2904 0.4205
O 0.9301 0.5184 0.1457
Na 0.4810 0.3022 0.4290
O 0.7374 0.3021 0.7549
O 0.9931 0.2033 0.3056
Si 0.8196 0.9748 0.4182
O 0.5884 0.1922 0.4098
Zn 0.5108 0.0089 0.3371
O 0.0118 0.2176 0.1999
Zn 0.6724 0.7099 0.3220
Si 0.4758 0.3324 0.5824
O 0.7607 0.8974 0.3599
O 0.9029 0.7883 0.3047
O 0.9237 0.3110 0.2483
O 0.5647 0.4418 0.9686
O 0.2486 0.3254 0.7420
O 0.0682 0.6947 0.4650
O 0.7559 0.8635 0.0829
O 0.9852 0.8070 0.0827
O 0.0684 0.4353 0.9637
O 0.7288 0.1470 0.5273
O 0.1610 0.4909 0.7533
O 0.5721 0.4876 0.5833
O 0.5549 0.6462 0.3576
O 0.3303 0.4984 0.9212
O 0.0962 0.2258 0.6900
S 0.5030 0.3035 0.2562
Na 0.5000 0.9980 0.9873
O 0.9345 0.5312 0.7516
Na 0.5117 0.6563 0.2496
O 0.6820 0.4912 0.0811
Na 0.4997 0.0047 0.5076
S 0.9807 0.3311 0.5830
O 0.5666 0.6561 0.0820
Na 0.6367 0.3305 0.5944
Ca 0.1620 0.6566 0.0143
S 0.8346 0.6283 0.5769
O 0.0032 0.8143 0.4097
O 0.2318 0.3137 0.0311
O 0.1539 0.8474 0.2559
Zn 0.3363 0.3536 0.9809
O 0.5872 0.9991 0.9159
O 0.8222 0.1140 0.1375
O 0.9079 0.8284 0.9105
Na 0.6507 0.9681 0.0783
Zn 0.8344 0.3152 0.4848
O 0.7668 0.8637 0.7536
S 0.8533 0.0022 0.7504
S 0.5102 0.3607 0.9180
O 0.4056 0.0126 0.0825
Ca 0.9973 0.9953 0.1477
O 0.5681 0.7000 0.4624
O 0.4855 0.7960 0.0828
O 0.1020 0.0196 0.5851
O 0.8306 0.1647 0.4220
O 0.6517 0.4786 0.7550
S 0.4813 0.6304 0.0835
O 0.0889 0.1669 0.4111
O 0.9055 0.0134 0.0865
Ca 0.3358 0.3244 0.1854
Na 0.9987 0.0010 0.4933
Na 0.3298 0.3461 0.8304
Na 0.1640 0.6575 0.6739
O 0.3373 0.5496 0.5280
Na 0.3291 0.3279 0.3422
O 0.9286 0.5148 0.4235
O 0.1052 0.1806 0.0854
O 0.3812 0.9675 0.6987
S 0.0051 0.7043 0.7562
O 0.8415 0.5458 0.5230
O 0.4222 0.3158 0.5220
Na 0.3131 0.6247 0.7565
Na 0.8173 0.3245 0.8347
O 0.2340 0.1195 0.6363
O 0.7566 0.1753 0.9276
O 0.5050 0.7975 0.6995
O 0.9393 0.3409 0.6368
Na 0.9915 0.6214 0.2387
O 0.2553 0.6467 0.5815
O 0.8335 0.5256 0.9201
Zn 0.3325 0.3373 0.4912
O 0.7687 0.6512 0.8684
S 0.3328 0.0383 0.0791
Na 0.3417 0.6473 0.4176
S 0.5157 0.6724 0.4110
Ca 0.1639 0.6588 0.5135
Si 0.1546 0.3062 0.7471
Na 0.8302 0.9564 0.5752
Na 0.0091 0.3661 0.7500
O 0.5049 0.8211 0.4055
Zn 0.8330 0.3319 0.9880
Si 0.9765 0.6178 0.0842
Na 0.1730 0.3174 0.9049
O 0.2553 0.8704 0.0786
Si 0.3215 0.6687 0.9175
S 0.3454 0.9959 0.7528
O 0.0837 0.6981 0.7606
O 0.8918 0.9830 0.6967
Si 0.6545 0.0029 0.2474
Na 0.3328 0.7062 0.0703
Zn 0.8312 0.3264 0.1768
O 0.8536 0.1632 0.7491
O 0.2257 0.1363 0.5289
Na 0.6534 0.6273 0.6690
Na 0.1548 0.6590 0.1590
O 0.3395 0.1352 0.0258
O 0.6612 0.8307 0.2536
O 0.0747 0.4702 0.2539
O 0.1522 0.8670 0.9692
O 0.1134 0.1894 0.8067
O 0.6029 0.1859 0.0868
Zn 0.3356 0.3401 0.6801
O 0.2675 0.8872 0.3656
Na 0.6632 0.6714 0.1708
O 0.7806 0.8609 0.4762
Zn 0.5103 0.9942 0.8515
Si 0.6720 0.9853 0.9210
O 0.4414 0.5404 0.1384
O 0.9121 0.9914 0.4102
O 0.0487 0.6367 0.3612
O 0.4008 0.7896 0.3031
O 0.9210 0.5277 0.0252
O 0.5103 0.2211 0.2032
O 0.1001 0.9832 0.1975
O 0.7342 0.3515 0.1388
O 0.9851 0.1740 0.5822
O 0.7403 0.3478 0.4181
O 0.3322 0.1399 0.4184
O 0.7376 0.1247 0.6336
Ca 0.6602 0.6627 0.5165
Na 0.8392 0.6865 0.0781
O 0.7486 0.1725 0.2418
Zn 0.0007 0.0188 0.3556
O 0.6042 0.0247 0.5833
O 0.5998 0.2191 0.6908
O 0.6519 0.4398 0.4664
O 0.8861 0.7997 0.1994
O 0.2565 0.3396 0.4269
S 0.3230 0.9720 0.4156
O 0.0046 0.1888 0.9064
O 0.7638 0.6768 0.2589
Na 0.8255 0.3089 0.3331
S 0.8243 0.6752 0.9175
Ca 0.0022 0.9951 0.6514
O 0.1811 0.8729 0.5792
O 0.1022 0.0144 0.3041
S 0.6869 0.3365 0.0844
O 0.9329 0.3456 0.9183
Na 0.8099 0.9995 0.2560
O 0.9337 0.3245 0.5295
Na 0.3396 0.9900 0.5838
O 0.6911 0.9076 0.8626
O 0.2849 0.8745 0.4701
O 0.2583 0.6244 0.8616
O 0.4258 0.3425 0.9255
Ca 0.5026 0.0079 0.1511
S 0.3316 0.6284 0.5829
O 0.4998 0.1927 0.9131
Ca 0.8293 0.3447 0.6887
S 0.1889 0.3325 0.0832
O 0.6138 0.0377 0.3070
O 0.4135 0.8363 0.9069
O 0.4060 0.9849 0.4087
Na 0.6856 0.3548 0.2528
O 0.5731 0.6833 0.7546
Ca 0.5003 0.0069 0.6512
Ca 0.6688 0.6696 0.8192
S 0.4967 0.6969 0.7512
O 0.3450 0.5344 0.2498
S 0.0157 0.3591 0.9121
O 0.8425 0.5341 0.2502
O 0.3907 0.7943 0.1963
O 0.7279 0.3180 0.0317
S 0.9999 0.2982 0.2515
O 0.5467 0.4635 0.8648
Na 0.9807 0.6591 0.9230
O 0.9908 0.7805 0.8094
S 0.0121 0.6647 0.4151
S 0.8494 0.7009 0.2539
Zn 0.0084 0.0121 0.8339
Ca 0.1693 0.6614 0.3218
Na 0.5038 0.3572 0.7386
O 0.3391 0.1496 0.7482
Na 0.1507 0.3326 0.5852
O 0.0894 0.9868 0.9115
S 0.3510 0.7020 0.2505
Na 0.8466 0.6824 0.4214
Na 0.9970 0.9920 0.0010

# 2
VASP calculation (PBE) on a relaxed structure of Na6Ca2Zn2SiS5O24.

Calculated values
Its calculated volume is 14.05 A^3/atom. As for the formation energy from the elements: -2278 meV per atom. The calculation puts the total magnetic moment at 0.0 μB/f.u.

a = 9.2607 Å, b = 9.2277 Å, c = 22.7927 Å
α = 89.46°, β = 90.17°, γ = 120.02°
Positions (direct):
O 0.6914 0.5343 0.2407
Na 0.3624 0.3465 0.2512
Na 0.7010 0.0311 0.9133
O 0.3242 0.8300 0.2525
O 0.8626 0.5396 0.0322
S 0.2947 0.2940 0.7526
O 0.8455 0.5381 0.7527
O 0.5270 0.6725 0.2523
O 0.2037 0.1795 0.0858
O 0.0895 0.4436 0.8624
Si 0.3101 0.0037 0.2435
O 0.5027 0.1684 0.2365
O 0.1226 0.6617 0.3615
Na 0.9809 0.3412 0.7602
S 0.3334 0.3744 0.4124
O 0.3128 0.8655 0.9727
O 0.3291 0.8544 0.5807
O 0.1982 0.0248 0.5859
O 0.8149 0.0218 0.8119
Ca 0.0177 0.0098 0.3452
O 0.4669 0.3192 0.7532
S 0.7005 0.6996 0.2489
O 0.7927 0.7700 0.3044
Na 0.3694 0.6831 0.6684
S 0.0272 0.6635 0.4135
O 0.8586 0.5111 0.4107
O 0.9602 0.1954 0.2995
Na 0.3811 0.9988 0.7560
O 0.8512 0.3367 0.9263
O 0.5083 0.8296 0.7567
O 0.6580 0.5146 0.9301
O 0.5402 0.6875 0.9675
O 0.1352 0.4594 0.9683
O 0.3591 0.9003 0.8662
O 0.3039 0.4599 0.7576
Na 0.3304 0.3545 0.5859
O 0.4558 0.0992 0.6397
O 0.8389 0.8282 0.5794
Na 0.9989 0.9988 0.0012
O 0.1888 0.9594 0.1851
O 0.4923 0.1410 0.9265
S 0.3708 0.3362 0.0824
O 0.4610 0.3120 0.0331
Na 0.0048 0.6918 0.5772
O 0.6825 0.5464 0.5237
O 0.7857 0.8183 0.1992
O 0.4999 0.6631 0.5818
O 0.3394 0.4793 0.3610
S 0.9628 0.6282 0.0839
O 0.8003 0.9717 0.4112
O 0.1122 0.6694 0.4692
Si 0.6952 0.9997 0.7548
Si 0.6676 0.6422 0.5816
O 0.4545 0.1302 0.5336
O 0.1574 0.4651 0.2519
Zn 0.3296 0.6510 0.0132
O 0.0096 0.1962 0.5857
Na 0.0114 0.6473 0.2410
Na 0.2940 0.9622 0.0880
O 0.1335 0.4963 0.5791
O 0.0297 0.7934 0.6969
S 0.3338 0.9751 0.9207
Na 0.6281 0.9997 0.2460
Na 0.6392 0.6535 0.7404
O 0.4905 0.3648 0.4098
Zn 0.9886 0.9978 0.8487
Na 0.6723 0.9568 0.5921
O 0.2024 0.1809 0.8020
O 0.0033 0.8120 0.4127
O 0.3511 0.4865 0.0745
O 0.0215 0.2130 0.1948
S 0.9729 0.3359 0.5848
O 0.2132 0.2238 0.6954
O 0.5539 0.8776 0.4672
Zn 0.6545 0.3222 0.1745
Zn 0.0112 0.9957 0.1572
O 0.6776 0.1694 0.7566
O 0.8567 0.3317 0.2378
O 0.6426 0.1132 0.1351
O 0.1848 0.9949 0.9149
O 0.5531 0.6401 0.8630
S 0.9988 0.2995 0.2458
O 0.1849 0.2056 0.4124
O 0.1465 0.6726 0.7598
Na 0.6460 0.3043 0.3290
Na 0.6663 0.3318 0.8397
O 0.8825 0.5325 0.1393
S 0.3607 0.0287 0.5848
Ca 0.3372 0.6644 0.8270
Ca 0.3356 0.6701 0.5122
S 0.0233 0.3596 0.9201
O 0.8959 0.3454 0.6405
O 0.5377 0.8757 0.3595
O 0.6476 0.5372 0.6424
O 0.6588 0.1370 0.4113
O 0.1363 0.6510 0.0803
Na 0.6978 0.6647 0.4246
S 0.0037 0.7032 0.7537
O 0.8049 0.8220 0.9189
O 0.3304 0.4530 0.4686
O 0.5056 0.8661 0.0772
O 0.0066 0.1892 0.9205
O 0.8135 0.0109 0.0880
Ca 0.6655 0.3312 0.4802
Na 0.3323 0.6633 0.1637
S 0.6371 0.9670 0.4121
O 0.2328 0.0546 0.2974
S 0.6664 0.0326 0.0816
O 0.6865 0.1363 0.0282
O 0.9940 0.8008 0.8029
S 0.6385 0.6632 0.9205
Ca 0.6670 0.3343 0.6836
Zn 0.3287 0.6880 0.3173
Zn 0.6715 0.3435 0.9906
O 0.7733 0.9804 0.6931
Ca 0.9881 0.9923 0.6540
O 0.9817 0.7995 0.0852
O 0.8603 0.3081 0.5349
O 0.4648 0.3607 0.1387
Na 0.9950 0.9974 0.4989

| no. | total energy (eV per atom) |
| --- | --- |
| 1 | -5.8521 |
| 2 | -5.8491 |